Entry 1:
Here is an optimized crystal structure of Li5V3P8O29 from the Materials Project database. Energies are from PBE+U.

Cell: 9.788 9.804 14.151 Å, 90.08 90.22 119.87°
Positions (direct):
1 Li 0.000 0.000 0.000
2 Li 0.002 0.570 0.505
3 Li 0.135 0.143 0.507
4 Li 0.141 0.577 0.999
5 Li 0.234 0.335 0.119
6 Li 0.568 0.141 0.997
7 Li 0.573 0.006 0.506
8 Li 0.582 0.578 0.458
9 Li 0.862 0.222 0.061
10 Li 0.900 0.230 0.575
11 V 0.339 0.239 0.314
12 V 0.341 0.677 0.812
13 V 0.471 0.807 0.309
14 V 0.473 0.240 0.810
15 V 0.902 0.802 0.810
16 V 0.904 0.676 0.309
17 P 0.127 0.150 0.721
18 P 0.131 0.550 0.219
19 P 0.217 0.465 0.403
20 P 0.220 0.328 0.902
21 P 0.236 0.903 0.431
22 P 0.236 0.907 0.932
23 P 0.568 0.572 0.193
24 P 0.570 0.570 0.694
25 P 0.592 0.014 0.718
26 P 0.592 0.155 0.219
27 P 0.684 0.934 0.900
28 P 0.686 0.329 0.402
29 P 0.817 0.932 0.400
30 P 0.821 0.463 0.902
31 P 0.992 0.013 0.216
32 P 0.993 0.553 0.719
33 O 0.086 0.755 0.389
34 O 0.089 0.912 0.888
35 O 0.104 0.216 0.631
36 O 0.110 0.245 0.810
37 O 0.117 0.459 0.483
38 O 0.121 0.439 0.305
39 O 0.133 0.239 0.990
40 O 0.139 0.474 0.129
41 O 0.160 0.160 0.229
42 O 0.163 0.585 0.733
43 O 0.227 0.908 0.038
44 O 0.229 0.752 0.896
45 O 0.233 0.052 0.393
46 O 0.237 0.899 0.536
47 O 0.246 0.496 0.904
48 O 0.250 0.324 0.406
49 O 0.282 0.151 0.731
50 O 0.289 0.708 0.238
51 O 0.375 0.327 0.888
52 O 0.380 0.618 0.392
53 O 0.385 0.903 0.389
54 O 0.390 0.052 0.895
55 O 0.417 0.427 0.234
56 O 0.428 0.574 0.737
57 O 0.436 0.861 0.731
58 O 0.437 0.156 0.233
59 O 0.524 0.781 0.892
60 O 0.533 0.341 0.392
61 O 0.560 0.983 0.234
62 O 0.564 0.155 0.733
63 O 0.567 0.579 0.089
64 O 0.568 0.720 0.242
65 O 0.577 0.428 0.734
66 O 0.581 0.583 0.589
67 O 0.644 0.901 0.401
68 O 0.650 0.325 0.904
69 O 0.671 0.216 0.126
70 O 0.676 0.031 0.627
71 O 0.686 0.228 0.481
72 O 0.699 0.041 0.980
73 O 0.707 0.255 0.303
74 O 0.709 0.028 0.803
75 O 0.716 0.576 0.240
76 O 0.723 0.719 0.740
77 O 0.806 0.769 0.393
78 O 0.821 0.897 0.902
79 O 0.826 0.497 0.404
80 O 0.826 0.622 0.890
81 O 0.889 0.025 0.302
82 O 0.893 0.439 0.804
83 O 0.911 0.036 0.480
84 O 0.915 0.453 0.983
85 O 0.922 0.026 0.125
86 O 0.924 0.474 0.627
87 O 0.986 0.979 0.734
88 O 0.992 0.710 0.735
89 O 0.993 0.579 0.225
90 O 0.998 0.862 0.231

formation enthalpy at 0 K: -2.6154 eV per atom
ΔE to the lowest computed polymorph: 5.4 meV/atom
total energy after the MP2020 corrections: -7.584 eV per atom
symmetry: No. 1

Entry 2:
Here is an optimized crystal structure of Li7V3P8O29 from the Materials Project database. Energies are from PBE+U.

Cell: 9.805 9.805 13.835 Å, 90.14 90.14 60.06°
Positions (direct):
1 Li 0.000 0.000 0.000
2 Li 0.000 0.000 0.500
3 Li 0.101 0.663 0.061
4 Li 0.102 0.236 0.561
5 Li 0.236 0.102 0.061
6 Li 0.236 0.663 0.562
7 Li 0.337 0.764 0.938
8 Li 0.337 0.899 0.439
9 Li 0.663 0.101 0.561
10 Li 0.663 0.236 0.062
11 Li 0.764 0.337 0.438
12 Li 0.764 0.898 0.939
13 Li 0.898 0.764 0.439
14 Li 0.899 0.337 0.939
15 V 0.001 0.436 0.751
16 V 0.436 0.001 0.251
17 V 0.436 0.564 0.750
18 V 0.564 0.436 0.250
19 V 0.564 0.999 0.749
20 V 0.999 0.564 0.249
21 P 0.086 0.687 0.843
22 P 0.089 0.226 0.343
23 P 0.225 0.687 0.342
24 P 0.226 0.089 0.843
25 P 0.313 0.775 0.158
26 P 0.313 0.914 0.657
27 P 0.331 0.332 0.127
28 P 0.332 0.331 0.627
29 P 0.668 0.669 0.373
30 P 0.669 0.668 0.873
31 P 0.687 0.086 0.343
32 P 0.687 0.225 0.842
33 P 0.774 0.911 0.157
34 P 0.775 0.313 0.658
35 P 0.911 0.774 0.657
36 P 0.914 0.313 0.157
37 O 0.000 0.225 0.433
38 O 0.000 0.775 0.567
39 O 0.003 0.203 0.250
40 O 0.007 0.224 0.067
41 O 0.077 0.665 0.339
42 O 0.082 0.255 0.844
43 O 0.090 0.379 0.330
44 O 0.090 0.529 0.828
45 O 0.188 0.323 0.671
46 O 0.188 0.487 0.169
47 O 0.203 0.003 0.750
48 O 0.204 0.796 0.250
49 O 0.216 0.783 0.066
50 O 0.217 0.784 0.434
51 O 0.224 0.007 0.567
52 O 0.225 0.000 0.933
53 O 0.249 0.669 0.845
54 O 0.255 0.082 0.344
55 O 0.321 0.486 0.664
56 O 0.322 0.332 0.018
57 O 0.323 0.188 0.171
58 O 0.331 0.751 0.655
59 O 0.332 0.322 0.518
60 O 0.335 0.923 0.161
61 O 0.375 0.531 0.335
62 O 0.379 0.090 0.830
63 O 0.469 0.625 0.165
64 O 0.471 0.910 0.672
65 O 0.486 0.321 0.164
66 O 0.487 0.188 0.669
67 O 0.513 0.812 0.331
68 O 0.514 0.679 0.836
69 O 0.529 0.090 0.328
70 O 0.531 0.375 0.835
71 O 0.621 0.910 0.170
72 O 0.625 0.469 0.665
73 O 0.665 0.077 0.839
74 O 0.668 0.678 0.482
75 O 0.669 0.249 0.345
76 O 0.677 0.812 0.829
77 O 0.678 0.668 0.982
78 O 0.679 0.514 0.336
79 O 0.745 0.918 0.656
80 O 0.751 0.331 0.155
81 O 0.775 0.000 0.067
82 O 0.776 0.993 0.433
83 O 0.783 0.216 0.566
84 O 0.784 0.217 0.934
85 O 0.796 0.204 0.750
86 O 0.797 0.997 0.250
87 O 0.812 0.513 0.831
88 O 0.812 0.677 0.329
89 O 0.910 0.471 0.172
90 O 0.910 0.621 0.670
91 O 0.918 0.745 0.156
92 O 0.923 0.335 0.661
93 O 0.993 0.776 0.933
94 O 0.997 0.797 0.750

formation enthalpy at 0 K: -2.6749 eV per atom
ΔE to the lowest computed polymorph: 18.0 meV/atom
total energy after the MP2020 corrections: -7.513 eV per atom
symmetry: No. 15

Entry 3:
Here is an optimized crystal structure of Li2VP2O8 from the Materials Project database. Energies are from PBE+U.

Cell: 4.883 8.799 14.780 Å, 87.44 80.74 74.10°
Positions (direct):
1 Li 0.086 0.065 0.254
2 Li 0.164 0.184 0.995
3 Li 0.336 0.318 0.505
4 Li 0.413 0.434 0.244
5 Li 0.587 0.566 0.756
6 Li 0.664 0.682 0.495
7 Li 0.836 0.816 0.005
8 Li 0.914 0.935 0.746
9 V 0.000 0.000 0.500
10 V 0.251 0.250 0.750
11 V 0.500 0.500 0.000
12 V 0.749 0.750 0.250
13 P 0.024 0.591 0.859
14 P 0.225 0.661 0.391
15 P 0.275 0.840 0.109
16 P 0.475 0.910 0.642
17 P 0.525 0.090 0.358
18 P 0.725 0.160 0.891
19 P 0.775 0.339 0.609
20 P 0.976 0.409 0.141
21 O 0.004 0.545 0.201
22 O 0.028 0.257 0.192
23 O 0.052 0.855 0.200
24 O 0.088 0.293 0.637
25 O 0.164 0.959 0.614
26 O 0.199 0.395 0.050
27 O 0.224 0.992 0.058
28 O 0.246 0.704 0.048
29 O 0.256 0.797 0.450
30 O 0.274 0.509 0.443
31 O 0.296 0.105 0.448
32 O 0.336 0.544 0.886
33 O 0.413 0.207 0.865
34 O 0.448 0.645 0.300
35 O 0.476 0.244 0.308
36 O 0.496 0.955 0.297
37 O 0.504 0.045 0.703
38 O 0.524 0.756 0.692
39 O 0.552 0.355 0.700
40 O 0.587 0.793 0.135
41 O 0.664 0.456 0.114
42 O 0.704 0.895 0.552
43 O 0.726 0.491 0.557
44 O 0.744 0.203 0.550
45 O 0.754 0.296 0.952
46 O 0.776 0.008 0.942
47 O 0.801 0.605 0.950
48 O 0.836 0.041 0.386
49 O 0.912 0.707 0.363
50 O 0.948 0.145 0.800
51 O 0.972 0.743 0.808
52 O 0.996 0.455 0.799

formation enthalpy at 0 K: -2.6341 eV per atom
ΔE to the lowest computed polymorph: 24.5 meV/atom
total energy after the MP2020 corrections: -7.504 eV per atom
symmetry: No. 2

Entry 4:
Here is an optimized crystal structure of Li9V3P8O29 from the Materials Project database. Energies are from PBE+U.

Cell: 9.917 9.925 13.774 Å, 89.81 89.81 60.03°
Positions (direct):
1 Li 0.000 0.000 0.000
2 Li 0.000 0.431 0.548
3 Li 0.093 0.093 0.352
4 Li 0.102 0.663 0.864
5 Li 0.235 0.093 0.863
6 Li 0.240 0.537 0.361
7 Li 0.256 0.800 0.421
8 Li 0.326 0.766 0.938
9 Li 0.431 0.999 0.488
10 Li 0.434 0.430 0.992
11 Li 0.562 0.867 0.985
12 Li 0.563 0.430 0.490
13 Li 0.661 0.530 0.860
14 Li 0.663 0.098 0.805
15 Li 0.698 0.094 0.303
16 Li 0.894 0.191 0.169
17 Li 0.984 0.867 0.491
18 Li 0.999 0.400 0.044
19 V 0.330 0.200 0.674
20 V 0.336 0.326 0.178
21 V 0.697 0.645 0.362
22 V 0.764 0.770 0.164
23 V 0.768 0.326 0.674
24 V 0.901 0.763 0.679
25 P 0.012 0.853 0.270
26 P 0.017 0.990 0.772
27 P 0.106 0.076 0.581
28 P 0.109 0.673 0.082
29 P 0.242 0.539 0.579
30 P 0.243 0.077 0.083
31 P 0.420 0.987 0.272
32 P 0.422 0.446 0.768
33 P 0.557 0.855 0.766
34 P 0.568 0.440 0.263
35 P 0.652 0.537 0.075
36 P 0.659 0.098 0.045
37 P 0.661 0.668 0.583
38 P 0.665 0.095 0.547
39 P 0.992 0.437 0.304
40 P 0.999 0.430 0.802
41 O 0.005 0.842 0.773
42 O 0.009 0.574 0.764
43 O 0.013 0.279 0.285
44 O 0.082 0.688 0.581
45 O 0.085 0.092 0.083
46 O 0.099 0.759 0.361
47 O 0.102 0.984 0.494
48 O 0.107 0.993 0.860
49 O 0.115 0.765 0.994
50 O 0.119 0.977 0.677
51 O 0.120 0.759 0.178
52 O 0.140 0.446 0.285
53 O 0.143 0.278 0.762
54 O 0.220 0.395 0.587
55 O 0.227 0.240 0.100
56 O 0.253 0.091 0.578
57 O 0.253 0.511 0.083
58 O 0.329 0.983 0.361
59 O 0.330 0.534 0.857
60 O 0.332 0.548 0.673
61 O 0.334 0.538 0.490
62 O 0.338 0.993 0.993
63 O 0.341 0.968 0.176
64 O 0.408 0.013 0.767
65 O 0.411 0.444 0.272
66 O 0.441 0.283 0.756
67 O 0.442 0.128 0.264
68 O 0.518 0.251 0.091
69 O 0.519 0.091 0.586
70 O 0.545 0.772 0.667
71 O 0.550 0.543 0.990
72 O 0.551 0.548 0.173
73 O 0.561 0.757 0.852
74 O 0.581 0.533 0.354
75 O 0.582 0.434 0.767
76 O 0.586 0.834 0.275
77 O 0.592 0.762 0.488
78 O 0.631 0.107 0.936
79 O 0.643 0.957 0.086
80 O 0.652 0.693 0.077
81 O 0.659 0.247 0.585
82 O 0.661 0.515 0.578
83 O 0.667 0.091 0.438
84 O 0.701 0.875 0.757
85 O 0.705 0.279 0.259
86 O 0.812 0.396 0.082
87 O 0.813 0.082 0.075
88 O 0.815 0.950 0.588
89 O 0.826 0.639 0.601
90 O 0.846 0.568 0.245
91 O 0.848 0.437 0.761
92 O 0.852 0.863 0.259
93 O 0.853 0.133 0.760
94 O 0.917 0.503 0.410
95 O 0.961 0.661 0.087
96 O 0.962 0.240 0.588
97 O 0.996 0.012 0.272
98 O 0.998 0.430 0.911

formation enthalpy at 0 K: -2.7114 eV per atom
ΔE to the lowest computed polymorph: 18.6 meV/atom
total energy after the MP2020 corrections: -7.430 eV per atom
symmetry: No. 1

Entry 5:
Here is an optimized crystal structure of LiVP2O7 from the Materials Project database. Energies are from PBE+U.

Cell: 6.855 8.145 9.582 Å, 90.00 109.11 90.00°
Positions (direct):
1 Li 0.210 0.129 0.038
2 Li 0.210 0.371 0.538
3 Li 0.790 0.629 0.462
4 Li 0.790 0.871 0.962
5 V 0.283 0.726 0.993
6 V 0.283 0.774 0.493
7 V 0.717 0.226 0.507
8 V 0.717 0.274 0.007
9 P 0.057 0.538 0.206
10 P 0.057 0.962 0.706
11 P 0.465 0.082 0.706
12 P 0.465 0.418 0.206
13 P 0.535 0.582 0.794
14 P 0.535 0.918 0.294
15 P 0.943 0.038 0.294
16 P 0.943 0.462 0.794
17 O 0.066 0.680 0.104
18 O 0.066 0.820 0.604
19 O 0.096 0.590 0.369
20 O 0.096 0.910 0.869
21 O 0.144 0.559 0.847
22 O 0.144 0.941 0.347
23 O 0.231 0.100 0.710
24 O 0.231 0.400 0.210
25 O 0.393 0.581 0.633
26 O 0.393 0.919 0.133
27 O 0.479 0.582 0.133
28 O 0.479 0.918 0.633
29 O 0.485 0.231 0.613
30 O 0.485 0.269 0.113
31 O 0.515 0.731 0.887
32 O 0.515 0.769 0.387
33 O 0.521 0.082 0.367
34 O 0.521 0.418 0.867
35 O 0.607 0.081 0.867
36 O 0.607 0.419 0.367
37 O 0.769 0.600 0.790
38 O 0.769 0.900 0.290
39 O 0.856 0.059 0.653
40 O 0.856 0.441 0.153
41 O 0.904 0.090 0.131
42 O 0.904 0.410 0.631
43 O 0.934 0.180 0.396
44 O 0.934 0.320 0.896

formation enthalpy at 0 K: -2.6891 eV per atom
total energy after the MP2020 corrections: -7.821 eV per atom
symmetry: No. 14

> What is the formation enthalpy at 0 K in the third record?

-2.6341 eV per atom